The following is a PBE calculation of an optimized crystal structure of YFe6Co5Re, from the Materials Project database.

POSCAR file:
```
YFe6Co5Re
1.0
-2.3348 4.2001 4.2262
2.3348 -4.2001 4.2262
2.3348 4.2001 -4.2262
Y Fe Co Re
1 6 5 1
Cartesian
0.0000 0.0000 0.0000
2.3348 0.0000 1.8862
1.1640 2.0900 2.0910
3.5055 2.0900 2.0910
0.0000 4.2001 2.2904
-1.1708 2.1101 6.3173
1.1708 2.1101 6.3173
2.3348 1.9046 -0.0386
0.0000 0.0000 2.9788
2.3348 -1.1788 4.1822
2.3348 1.1788 4.1822
0.0000 2.2955 4.1876
0.0000 0.0000 5.3656
```

Calculated values
formation energy = -0.03 eV per atom
energy = -105.6 eV for the cell shown
crystal system = orthorhombic

***

The following is a PBE calculation of an optimized crystal structure of FeCoRh4S8, from the Materials Project database.

POSCAR file:
```
FeCoRh4S8
1.0
0.0000 4.8541 4.8541
4.8541 0.0000 4.8541
4.8541 4.8541 0.0000
Fe Co Rh S
1 1 4 8
Cartesian
0.0000 0.0000 0.0000
2.4270 2.4270 2.4270
6.0580 3.6502 3.6502
3.6502 6.0580 3.6502
3.6502 3.6502 6.0580
6.0580 6.0580 6.0580
3.6709 3.6709 3.6709
6.0373 6.0373 3.6709
6.0373 3.6709 6.0373
8.4609 6.1014 6.1014
3.6709 6.0373 6.0373
6.1014 8.4609 6.1014
6.1014 6.1014 8.4609
8.4609 8.4609 8.4609
```

Calculated values
formation energy = -0.71 eV per atom
energy = -84.1 eV for the cell shown
crystal system = cubic

***

The following is a PBE calculation of an optimized crystal structure of FeCoS2, from the Materials Project database.

POSCAR file:
```
FeCoS2
1.0
3.3439 0.0000 0.0000
-1.6720 2.8959 0.0000
0.0000 0.0000 5.1030
Fe Co S
1 1 2
Cartesian
0.0000 0.0000 0.0000
0.0000 0.0000 2.5515
0.0000 1.9306 3.8488
1.6720 0.9653 1.2542
```

Calculated values
formation energy = -0.51 eV per atom
energy = -24.9 eV for the cell shown
crystal system = trigonal

***

The following is a PBE calculation of an optimized crystal structure of FeCo3S8, from the Materials Project database.

POSCAR file:
```
FeCo3S8
1.0
3.8800 2.2401 3.1684
-3.8800 2.2401 3.1684
0.0000 -4.4803 3.1684
Fe Co S
1 3 8
Cartesian
0.0000 0.0000 0.0000
-1.9400 -1.1201 3.1684
-1.9400 1.1201 6.3367
0.0000 2.2401 3.1684
-1.0451 -2.8736 4.3793
-3.0112 -0.5317 5.1258
-1.9660 2.3419 4.3793
0.0000 0.0000 3.6996
0.0000 0.0000 5.8055
1.9661 -2.3419 5.1258
3.0112 0.5317 4.3793
1.0451 2.8736 5.1258
```

Calculated values
formation energy = -0.72 eV per atom
energy = -67.5 eV for the cell shown
crystal system = trigonal

***

The following is a PBE calculation of an optimized crystal structure of FeCoS4, from the Materials Project database.

POSCAR file:
```
FeCoS4
1.0
5.4420 0.0000 0.0000
0.0000 5.4633 0.0000
-0.0193 0.0000 5.4621
Fe Co S
2 2 8
Cartesian
0.0000 0.0000 0.0000
-0.0096 2.7316 2.7310
2.7114 0.0000 2.7310
2.7210 2.7316 0.0000
0.6053 0.6461 2.0830
0.5957 2.0855 4.8140
2.0680 3.3489 2.1209
2.0584 4.8460 4.8520
3.3643 0.6173 0.6101
3.3547 2.1144 3.3412
4.8270 3.3778 0.6481
4.8174 4.8171 3.3791
```

Calculated values
formation energy = -0.76 eV per atom
energy = -69.3 eV for the cell shown
crystal system = monoclinic

***

The following is a PBE calculation of an optimized crystal structure of Ti4FeCoS8, from the Materials Project database.

POSCAR file:
```
Ti4FeCoS8
1.0
5.7969 0.0000 0.0000
2.8846 5.8031 0.0000
0.0016 1.9594 6.4575
Ti Fe Co S
4 1 1 8
Cartesian
1.4025 0.7875 2.4078
1.4047 1.7705 5.6241
7.2783 5.9919 0.8334
7.2806 6.9750 4.0497
4.3407 2.9015 0.0000
4.3415 3.8812 3.2288
2.4274 5.1071 2.8540
2.4352 6.0766 6.0843
3.3979 2.1330 1.9750
3.4067 3.1364 5.2365
5.2764 4.6261 1.2210
5.2852 5.6295 4.4825
6.2479 1.6859 0.3732
6.2557 2.6554 3.6036
```

Calculated values
formation energy = -1.41 eV per atom
energy = -96.0 eV for the cell shown
crystal system = triclinic

***

The following is a PBE calculation of an optimized crystal structure of TiFeCoSb, from the Materials Project database.

POSCAR file:
```
TiFeCoSb
1.0
0.0000 3.0396 3.0396
3.0396 0.0000 3.0396
3.0396 3.0396 0.0000
Ti Fe Co Sb
1 1 1 1
Cartesian
0.0000 0.0000 0.0000
1.5198 1.5198 1.5198
4.5593 4.5593 4.5593
3.0396 3.0396 3.0396
```

Calculated values
formation energy = -0.36 eV per atom
energy = -28.8 eV for the cell shown
crystal system = cubic

***

The following is a PBE calculation of an optimized crystal structure of VFeCoSb, from the Materials Project database.

POSCAR file:
```
VFeCoSb
1.0
0.0000 3.0022 3.0022
3.0022 0.0000 3.0022
3.0022 3.0022 0.0000
V Fe Co Sb
1 1 1 1
Cartesian
0.0000 0.0000 0.0000
1.5011 1.5011 1.5011
4.5032 4.5032 4.5032
3.0022 3.0022 3.0022
```

Calculated values
formation energy = -0.07 eV per atom
energy = -28.9 eV for the cell shown
crystal system = cubic